No. 1
The following is a PBE calculation of a relaxed KCa4Si8H16O28F crystal, from the Materials Project database.

Unit cell a=9.792 b=9.792 c=12.569 alpha=90.00 beta=90.00 gamma=90.08
Element x y z (fractional)
1 K 0.000 0.500 0.000
2 K 0.500 0.000 0.500
3 Ca 0.142 0.825 0.000
4 Ca 0.175 0.858 0.500
5 Ca 0.324 0.358 0.000
6 Ca 0.358 0.324 0.500
7 Ca 0.642 0.676 0.500
8 Ca 0.676 0.642 0.000
9 Ca 0.825 0.142 0.500
10 Ca 0.858 0.175 0.000
11 Si 0.005 0.729 0.240
12 Si 0.005 0.729 0.760
13 Si 0.229 0.495 0.240
14 Si 0.229 0.495 0.760
15 Si 0.271 0.995 0.260
16 Si 0.271 0.995 0.740
17 Si 0.495 0.229 0.260
18 Si 0.495 0.229 0.740
19 Si 0.505 0.771 0.260
20 Si 0.505 0.771 0.740
21 Si 0.729 0.005 0.260
22 Si 0.729 0.005 0.740
23 Si 0.771 0.505 0.240
24 Si 0.771 0.505 0.760
25 Si 0.995 0.271 0.240
26 Si 0.995 0.271 0.760
27 H 0.093 0.113 0.369
28 H 0.093 0.113 0.631
29 H 0.113 0.093 0.131
30 H 0.113 0.093 0.869
31 H 0.123 0.321 0.470
32 H 0.123 0.321 0.530
33 H 0.184 0.623 0.470
34 H 0.184 0.623 0.530
35 H 0.321 0.123 0.030
36 H 0.321 0.123 0.970
37 H 0.377 0.816 0.030
38 H 0.377 0.816 0.970
39 H 0.387 0.593 0.369
40 H 0.387 0.593 0.631
41 H 0.407 0.613 0.131
42 H 0.407 0.613 0.869
43 H 0.593 0.387 0.131
44 H 0.593 0.387 0.869
45 H 0.613 0.407 0.369
46 H 0.613 0.407 0.631
47 H 0.623 0.184 0.030
48 H 0.623 0.184 0.970
49 H 0.679 0.877 0.030
50 H 0.679 0.877 0.970
51 H 0.816 0.377 0.470
52 H 0.816 0.377 0.530
53 H 0.877 0.679 0.470
54 H 0.877 0.679 0.530
55 H 0.887 0.907 0.131
56 H 0.887 0.907 0.869
57 H 0.907 0.887 0.369
58 H 0.907 0.887 0.631
59 O 0.007 0.176 0.363
60 O 0.007 0.176 0.637
61 O 0.027 0.233 0.114
62 O 0.027 0.233 0.886
63 O 0.093 0.907 0.250
64 O 0.093 0.907 0.750
65 O 0.135 0.363 0.267
66 O 0.135 0.363 0.733
67 O 0.138 0.635 0.267
68 O 0.138 0.635 0.733
69 O 0.176 0.007 0.137
70 O 0.176 0.007 0.863
71 O 0.233 0.027 0.386
72 O 0.233 0.027 0.614
73 O 0.267 0.527 0.115
74 O 0.267 0.527 0.885
75 O 0.325 0.506 0.362
76 O 0.325 0.506 0.638
77 O 0.363 0.135 0.233
78 O 0.363 0.135 0.767
79 O 0.365 0.862 0.233
80 O 0.365 0.862 0.767
81 O 0.407 0.407 0.250
82 O 0.407 0.407 0.750
83 O 0.473 0.733 0.385
84 O 0.473 0.733 0.615
85 O 0.494 0.675 0.138
86 O 0.494 0.675 0.862
87 O 0.506 0.325 0.138
88 O 0.506 0.325 0.862
89 O 0.527 0.267 0.385
90 O 0.527 0.267 0.615
91 O 0.593 0.593 0.250
92 O 0.593 0.593 0.750
93 O 0.635 0.138 0.233
94 O 0.635 0.138 0.767
95 O 0.637 0.865 0.233
96 O 0.637 0.865 0.767
97 O 0.675 0.494 0.362
98 O 0.675 0.494 0.638
99 O 0.733 0.473 0.115
100 O 0.733 0.473 0.885
101 O 0.767 0.973 0.386
102 O 0.767 0.973 0.614
103 O 0.824 0.993 0.137
104 O 0.824 0.993 0.863
105 O 0.862 0.365 0.267
106 O 0.862 0.365 0.733
107 O 0.865 0.637 0.267
108 O 0.865 0.637 0.733
109 O 0.907 0.093 0.250
110 O 0.907 0.093 0.750
111 O 0.973 0.767 0.114
112 O 0.973 0.767 0.886
113 O 0.993 0.824 0.363
114 O 0.993 0.824 0.637
115 F 0.000 0.500 0.500
116 F 0.500 0.000 0.000

Summary:
V ... 1205.0 Å³/cell
Crystal system ... orthorhombic
Formation energy ... -1.915 eV/atom
Offset from the most stable computed form ... 579.2 meV/atom

***

No. 2
The following is a PBE calculation of a relaxed Ga2P2N2O8F3 crystal, from the Materials Project database.

Unit cell a=12.532 b=7.720 c=10.045 alpha=90.00 beta=90.00 gamma=90.00
Element x y z (fractional)
1 Ga 0.120 0.008 0.000
2 Ga 0.242 0.217 0.718
3 Ga 0.258 0.717 0.218
4 Ga 0.380 0.508 0.500
5 Ga 0.620 0.492 0.000
6 Ga 0.742 0.283 0.718
7 Ga 0.758 0.783 0.218
8 Ga 0.880 0.992 0.500
9 P 0.014 0.828 0.255
10 P 0.187 0.416 0.003
11 P 0.313 0.916 0.503
12 P 0.486 0.328 0.755
13 P 0.514 0.672 0.255
14 P 0.687 0.084 0.003
15 P 0.813 0.584 0.503
16 P 0.986 0.172 0.755
17 N 0.088 0.654 0.636
18 N 0.128 0.236 0.350
19 N 0.372 0.736 0.850
20 N 0.412 0.154 0.136
21 N 0.588 0.846 0.636
22 N 0.628 0.264 0.350
23 N 0.872 0.764 0.850
24 N 0.912 0.346 0.136
25 O 0.005 0.127 0.903
26 O 0.034 0.994 0.170
27 O 0.068 0.483 0.993
28 O 0.087 0.254 0.692
29 O 0.106 0.697 0.247
30 O 0.174 0.237 0.071
31 O 0.230 0.402 0.859
32 O 0.241 0.038 0.580
33 O 0.259 0.538 0.080
34 O 0.270 0.902 0.359
35 O 0.326 0.737 0.571
36 O 0.394 0.197 0.747
37 O 0.413 0.754 0.192
38 O 0.432 0.983 0.493
39 O 0.466 0.494 0.670
40 O 0.495 0.627 0.403
41 O 0.505 0.373 0.903
42 O 0.534 0.506 0.170
43 O 0.568 0.017 0.993
44 O 0.587 0.246 0.692
45 O 0.606 0.803 0.247
46 O 0.674 0.263 0.071
47 O 0.730 0.098 0.859
48 O 0.741 0.462 0.580
49 O 0.759 0.962 0.080
50 O 0.770 0.598 0.359
51 O 0.826 0.763 0.571
52 O 0.894 0.303 0.747
53 O 0.913 0.746 0.192
54 O 0.932 0.517 0.493
55 O 0.966 0.006 0.670
56 O 0.995 0.873 0.403
57 F 0.073 0.796 0.935
58 F 0.218 0.039 0.850
59 F 0.240 0.901 0.090
60 F 0.260 0.401 0.590
61 F 0.282 0.539 0.350
62 F 0.427 0.296 0.435
63 F 0.573 0.704 0.935
64 F 0.718 0.461 0.850
65 F 0.740 0.599 0.090
66 F 0.760 0.099 0.590
67 F 0.782 0.961 0.350
68 F 0.927 0.204 0.435

Summary:
V ... 971.9 Å³/cell
Crystal system ... orthorhombic
Formation energy ... -1.357 eV/atom

***

No. 3
The following is a PBE calculation of a relaxed La2Si4CN6 crystal, from the Materials Project database.

Unit cell a=10.229 b=6.041 c=10.591 alpha=90.00 beta=90.00 gamma=90.00
Element x y z (fractional)
1 La 0.049 0.250 0.104
2 La 0.093 0.750 0.561
3 La 0.407 0.250 0.061
4 La 0.451 0.750 0.604
5 La 0.549 0.250 0.396
6 La 0.593 0.750 0.939
7 La 0.907 0.250 0.439
8 La 0.951 0.750 0.896
9 Si 0.018 0.250 0.739
10 Si 0.202 0.750 0.075
11 Si 0.227 0.003 0.330
12 Si 0.227 0.497 0.330
13 Si 0.273 0.503 0.830
14 Si 0.273 0.997 0.830
15 Si 0.298 0.250 0.575
16 Si 0.482 0.750 0.239
17 Si 0.518 0.250 0.761
18 Si 0.702 0.750 0.425
19 Si 0.727 0.003 0.170
20 Si 0.727 0.497 0.170
21 Si 0.773 0.503 0.670
22 Si 0.773 0.997 0.670
23 Si 0.798 0.250 0.925
24 Si 0.982 0.750 0.261
25 C 0.205 0.250 0.736
26 C 0.295 0.750 0.236
27 C 0.705 0.250 0.764
28 C 0.795 0.750 0.264
29 N 0.034 0.750 0.107
30 N 0.054 0.520 0.335
31 N 0.054 0.980 0.335
32 N 0.220 0.509 0.986
33 N 0.220 0.991 0.986
34 N 0.231 0.750 0.753
35 N 0.269 0.250 0.253
36 N 0.280 0.009 0.486
37 N 0.280 0.491 0.486
38 N 0.446 0.020 0.835
39 N 0.446 0.480 0.835
40 N 0.466 0.250 0.607
41 N 0.534 0.750 0.393
42 N 0.554 0.520 0.165
43 N 0.554 0.980 0.165
44 N 0.720 0.509 0.514
45 N 0.720 0.991 0.514
46 N 0.731 0.750 0.747
47 N 0.769 0.250 0.247
48 N 0.780 0.009 0.014
49 N 0.780 0.491 0.014
50 N 0.946 0.020 0.665
51 N 0.946 0.480 0.665
52 N 0.966 0.250 0.893

Summary:
V ... 654.5 Å³/cell
Crystal system ... orthorhombic
Formation energy ... -1.332 eV/atom
Offset from the most stable computed form ... 0.0 meV/atom

***

No. 4
The following is a PBE calculation of a relaxed CeSe2 crystal, from the Materials Project database.

Unit cell a=21.848 b=21.848 c=22.810 alpha=90.00 beta=90.00 gamma=90.00
Element x y z (fractional)
1 Ce 0.000 0.123 0.116
2 Ce 0.000 0.123 0.884
3 Ce 0.000 0.877 0.116
4 Ce 0.000 0.877 0.884
5 Ce 0.123 0.000 0.384
6 Ce 0.123 0.000 0.616
7 Ce 0.123 0.380 0.384
8 Ce 0.123 0.380 0.616
9 Ce 0.123 0.620 0.384
10 Ce 0.123 0.620 0.616
11 Ce 0.188 0.188 0.250
12 Ce 0.188 0.188 0.750
13 Ce 0.188 0.812 0.250
14 Ce 0.188 0.812 0.750
15 Ce 0.380 0.123 0.116
16 Ce 0.380 0.123 0.884
17 Ce 0.380 0.877 0.116
18 Ce 0.380 0.877 0.884
19 Ce 0.620 0.123 0.116
20 Ce 0.620 0.123 0.884
21 Ce 0.620 0.877 0.116
22 Ce 0.620 0.877 0.884
23 Ce 0.812 0.188 0.250
24 Ce 0.812 0.188 0.750
25 Ce 0.812 0.812 0.250
26 Ce 0.812 0.812 0.750
27 Ce 0.877 0.000 0.384
28 Ce 0.877 0.000 0.616
29 Ce 0.877 0.380 0.384
30 Ce 0.877 0.380 0.616
31 Ce 0.877 0.620 0.384
32 Ce 0.877 0.620 0.616
33 Se 0.000 0.000 0.129
34 Se 0.000 0.000 0.371
35 Se 0.000 0.000 0.629
36 Se 0.000 0.000 0.871
37 Se 0.000 0.148 0.000
38 Se 0.000 0.368 0.371
39 Se 0.000 0.368 0.629
40 Se 0.000 0.632 0.371
41 Se 0.000 0.632 0.629
42 Se 0.000 0.852 0.000
43 Se 0.099 0.172 0.170
44 Se 0.099 0.172 0.830
45 Se 0.099 0.828 0.170
46 Se 0.099 0.828 0.830
47 Se 0.145 0.360 0.500
48 Se 0.145 0.640 0.500
49 Se 0.148 0.000 0.500
50 Se 0.148 0.500 0.362
51 Se 0.148 0.500 0.638
52 Se 0.172 0.099 0.330
53 Se 0.172 0.099 0.670
54 Se 0.172 0.901 0.330
55 Se 0.172 0.901 0.670
56 Se 0.174 0.296 0.310
57 Se 0.174 0.296 0.690
58 Se 0.174 0.704 0.310
59 Se 0.174 0.704 0.690
60 Se 0.296 0.174 0.190
61 Se 0.296 0.174 0.810
62 Se 0.296 0.826 0.190
63 Se 0.296 0.826 0.810
64 Se 0.360 0.145 0.000
65 Se 0.360 0.855 0.000
66 Se 0.368 0.000 0.129
67 Se 0.368 0.000 0.871
68 Se 0.500 0.148 0.138
69 Se 0.500 0.148 0.862
70 Se 0.500 0.852 0.138
71 Se 0.500 0.852 0.862
72 Se 0.632 0.000 0.129
73 Se 0.632 0.000 0.871
74 Se 0.640 0.145 0.000
75 Se 0.640 0.855 0.000
76 Se 0.704 0.174 0.190
77 Se 0.704 0.174 0.810
78 Se 0.704 0.826 0.190
79 Se 0.704 0.826 0.810
80 Se 0.826 0.296 0.310
81 Se 0.826 0.296 0.690
82 Se 0.826 0.704 0.310
83 Se 0.826 0.704 0.690
84 Se 0.828 0.099 0.330
85 Se 0.828 0.099 0.670
86 Se 0.828 0.901 0.330
87 Se 0.828 0.901 0.670
88 Se 0.852 0.000 0.500
89 Se 0.852 0.500 0.362
90 Se 0.852 0.500 0.638
91 Se 0.855 0.360 0.500
92 Se 0.855 0.640 0.500
93 Se 0.901 0.172 0.170
94 Se 0.901 0.172 0.830
95 Se 0.901 0.828 0.170
96 Se 0.901 0.828 0.830

Summary:
V ... 10887.9 Å³/cell
Crystal system ... tetragonal
Formation energy ... -1.389 eV/atom

***

- Which of these has the highest V?
  CeSe2

***

- Among the records above, which one has the lowest V?
  La2Si4CN6